1.
Gd4GaSbS9 PBE optimized geometry; symmetry = Aea2; crystal system = orthorhombic
1.0
13.644 0.000 0.000
0.000 6.993 7.102
0.000 -6.993 7.102
Gd Ga Sb S
16 4 4 36
Cartesian
1.378 -4.590 7.102
1.416 1.558 7.859
2.478 2.318 4.026
2.536 5.465 7.252
4.285 -1.529 7.252
4.344 2.318 11.128
5.405 -5.435 7.859
5.444 2.403 7.102
8.199 -2.403 7.102
8.238 5.435 7.859
9.300 -2.318 11.128
9.358 1.529 7.252
11.107 -5.465 7.252
11.166 -2.318 4.026
12.227 -1.558 7.859
12.266 4.590 7.102
1.258 -1.469 3.880
5.564 -1.469 10.981
8.080 1.469 10.981
12.386 1.469 3.880
1.542 -1.122 10.521
5.280 -1.122 3.419
8.363 1.122 3.419
12.102 1.122 10.521
0.000 0.000 5.173
0.000 0.000 14.095
0.106 -4.265 9.637
0.926 3.539 6.044
1.109 1.319 10.673
1.356 -1.257 8.050
2.597 -2.771 5.239
2.698 -0.159 2.637
3.355 3.275 8.758
3.397 0.802 13.223
3.424 0.802 6.121
3.467 -3.718 8.758
4.123 -0.159 9.739
4.224 4.222 5.239
5.465 5.736 8.050
5.713 1.319 3.572
5.896 -3.455 6.044
6.716 2.728 9.637
6.822 0.000 6.994
6.822 0.000 12.274
6.928 -2.728 9.637
7.748 3.455 6.044
7.931 -1.319 3.572
8.178 -5.736 8.050
9.419 -4.222 5.239
9.520 0.159 9.739
10.176 3.718 8.758
10.219 -0.802 6.121
10.246 -0.802 13.223
10.289 -3.275 8.758
10.945 0.159 2.637
11.046 2.771 5.239
12.287 1.257 8.050
12.535 -1.319 10.673
12.718 -3.539 6.044
13.538 4.265 9.637


2.
Sc3V2Ge4 PBE optimized geometry; symmetry = Pnma; crystal system = orthorhombic
1.0
6.845 0.000 0.000
0.000 13.503 0.000
0.000 0.000 7.067
Sc V Ge
12 8 16
Cartesian
1.089 3.376 0.049
1.155 8.422 1.189
1.155 11.832 1.189
2.268 1.671 4.722
2.268 5.081 4.722
2.333 10.127 3.582
4.512 3.376 3.485
4.577 8.422 2.345
4.577 11.832 2.345
5.690 1.671 5.879
5.690 5.081 5.879
5.756 10.127 7.019
0.082 8.060 4.843
0.082 12.194 4.843
3.341 1.309 1.309
3.341 5.443 1.309
3.504 8.060 5.758
3.504 12.194 5.758
6.763 1.309 2.225
6.763 5.443 2.225
0.176 3.376 4.254
1.229 0.583 6.881
1.229 6.169 6.881
1.393 10.127 6.022
2.029 3.376 2.488
2.193 7.334 3.348
2.193 12.920 3.348
3.246 10.127 0.721
3.599 3.376 6.347
4.652 0.583 3.720
4.652 6.169 3.720
4.816 10.127 4.579
5.452 3.376 1.046
5.616 7.334 0.186
5.616 12.920 0.186
6.669 10.127 2.813


3.
Li3Y PBE optimized geometry; symmetry = P6_3/mmc; crystal system = hexagonal
1.0
6.568 0.000 0.000
-3.284 5.688 0.000
0.000 0.000 4.993
Li Y
6 2
Cartesian
0.000 1.704 1.248
-1.809 4.836 1.248
1.476 0.852 3.745
1.809 4.836 1.248
5.093 0.852 3.745
3.284 3.984 3.745
0.000 3.792 3.745
3.284 1.896 1.248


ΔH_f (0 K) across the listed records, respectively: -1.845; -0.373; 0.183 eV per atom.